1.
Entry from the Materials Project database: a geometry-optimized Li2TiFe2O5 structure (GGA+U).

## Properties
volume	191	Å³ per cell
E (MP2020)	-153.44	eV for the cell shown
total moment	8.000	μB per formula unit

Cell lengths 5.1879, 5.1898, 7.9554 Å; angles 71.18, 83.68, 70.63 degrees
Last column: nearest neighbours and their distance in Å.
Atoms (fractional coordinates):
1 Li 0.4999 0.9004 0.1977  6 O 2.09-2.14
2 Li 0.4976 0.4965 0.0046  5 O 2.06-2.30
3 Li 0.9998 0.4018 0.1984  6 O 2.10-2.18
4 Li 0.9992 0.2035 0.5916  6 O 2.08-2.22
5 Ti 0.4970 0.3029 0.3858  6 O 1.94-2.07
6 Ti 0.9999 0.0013 0.0055  5 O 1.90-2.11
7 Fe 0.5012 0.6989 0.6041  6 O 2.10-2.28
8 Fe 0.0023 0.8017 0.3933  6 O 2.11-2.26
9 Fe 0.9963 0.5998 0.8014  6 O 2.07-2.27
10 Fe 0.5007 0.0966 0.8056  6 O 2.11-2.18
11 O 0.7700 0.3296 0.8196  1 Ti 1.98, 2 Fe 2.07-2.16, 2 Li 2.11-2.21
12 O 0.2624 0.4363 0.5875  1 Ti 2.06, 1 Li 2.09, 4 Fe 2.16-2.27
13 O 0.7453 0.1584 0.2000  2 Ti 2.02-2.11, 3 Li 2.08-2.14, 1 Fe 2.13
14 O 0.7412 0.9745 0.5842  1 Ti 2.07, 1 Li 2.08, 4 Fe 2.14-2.27
15 O 0.2382 0.8452 0.8125  1 Ti 2.06, 3 Fe 2.09-2.19, 2 Li 2.12-2.22
16 O 0.2269 0.2237 0.0043  1 Ti 1.90, 2 Li 2.10, 1 Fe 2.12
17 O 0.2660 0.0702 0.3974  1 Ti 1.94, 3 Li 2.09-2.13
18 O 0.7712 0.7765 0.0027  1 Ti 1.93, 2 Li 2.09-2.13, 2 Fe 2.11-2.14
19 O 0.7282 0.5399 0.4040  1 Ti 2.03, 2 Fe 2.10-2.25, 3 Li 2.10-2.18
20 O 0.2568 0.6423 0.1999  2 Ti 2.03-2.14, 3 Li 2.06-2.12, 1 Fe 2.11

***

2.
Entry from the Materials Project database: a geometry-optimized Li3TiFe3O8 structure (GGA+U).

## Properties
volume	292	Å³ per cell
E (MP2020)	-223.99	eV for the cell shown
total moment	14.999	μB per formula unit

Cell lengths 5.9184, 5.9184, 9.6166 Å; angles 90.00, 90.00, 120.00 degrees
Last column: nearest neighbours and their distance in Å.
Atoms (fractional coordinates):
1 Li 0.8240 0.1760 0.5583  4 O 2.00-2.19
2 Li 0.8240 0.6480 0.5583  4 O 2.00-2.19
3 Li 0.3520 0.1760 0.5583  4 O 2.00-2.19
4 Li 0.6480 0.8240 0.0583  4 O 2.00-2.19
5 Li 0.1760 0.3520 0.0583  4 O 2.00-2.19
6 Li 0.1760 0.8240 0.0583  4 O 2.00-2.19
7 Ti 0.6667 0.3333 0.0026  6 O 1.92-2.11
8 Ti 0.3333 0.6667 0.5026  6 O 1.92-2.11
9 Fe 0.8305 0.1695 0.2848  6 O 2.02-2.10
10 Fe 0.8305 0.6611 0.2848  6 O 2.02-2.10
11 Fe 0.3389 0.1695 0.2848  6 O 2.02-2.10
12 Fe 0.6611 0.8305 0.7848  6 O 2.02-2.10
13 Fe 0.1695 0.3389 0.7848  6 O 2.02-2.10
14 Fe 0.1695 0.8305 0.7848  6 O 2.02-2.10
15 O 0.8326 0.1674 0.9092  1 Ti 1.92, 2 Fe 2.10
16 O 0.9636 0.4818 0.1541  2 Li 2.00, 2 Fe 2.04, 1 Ti 2.11
17 O 0.8326 0.6652 0.9092  1 Ti 1.92, 2 Fe 2.10
18 O 0.0000 0.0000 0.6773  3 Fe 2.02, 3 Li 2.14
19 O 0.6667 0.3333 0.4047  3 Fe 2.04, 3 Li 2.19
20 O 0.0000 0.0000 0.1773  3 Fe 2.02, 3 Li 2.14
21 O 0.5182 0.0364 0.1541  2 Li 2.00, 2 Fe 2.04, 1 Ti 2.11
22 O 0.5182 0.4818 0.1541  2 Li 2.00, 2 Fe 2.04, 1 Ti 2.11
23 O 0.3348 0.1674 0.9092  1 Ti 1.92, 2 Fe 2.10
24 O 0.6652 0.8326 0.4092  1 Ti 1.92, 2 Fe 2.10
25 O 0.4818 0.5182 0.6541  2 Li 2.00, 2 Fe 2.04, 1 Ti 2.11
26 O 0.3333 0.6667 0.9047  3 Fe 2.04, 3 Li 2.19
27 O 0.1674 0.3348 0.4092  1 Ti 1.92, 2 Fe 2.10
28 O 0.4818 0.9636 0.6541  2 Li 2.00, 2 Fe 2.04, 1 Ti 2.11
29 O 0.0364 0.5182 0.6541  2 Li 2.00, 2 Fe 2.04, 1 Ti 2.11
30 O 0.1674 0.8326 0.4092  1 Ti 1.92, 2 Fe 2.10

***

3.
Entry from the Materials Project database: a geometry-optimized Li4TiFe5O12 structure (GGA+U).

## Properties
volume	236	Å³ per cell
E (MP2020)	-161.03	eV for the cell shown
total moment	23.998	μB per formula unit

Cell lengths 5.1465, 5.1465, 10.2674 Å; angles 89.44, 89.44, 119.76 degrees
Last column: nearest neighbours and their distance in Å.
Atoms (fractional coordinates):
1 Li 0.6450 0.1349 0.7504  4 O 2.02-2.14
2 Li 0.8651 0.3550 0.2496  4 O 2.02-2.14
3 Li 0.1349 0.6450 0.7504  4 O 2.02-2.14
4 Li 0.3550 0.8651 0.2496  4 O 2.02-2.14
5 Ti 0.0000 0.0000 0.0000  6 O 1.93-2.03
6 Fe 0.8357 0.1643 0.5000  6 O 2.01-2.09
7 Fe 0.3365 0.6635 0.0000  6 O 2.00-2.10
8 Fe 0.6635 0.3365 0.0000  6 O 2.00-2.10
9 Fe 0.1643 0.8357 0.5000  6 O 2.01-2.09
10 Fe 0.5000 0.5000 0.5000  6 O 1.88-2.02
11 O 0.6725 0.0089 0.1080  2 Li 2.02-2.14, 1 Ti 2.03, 2 Fe 2.03-2.10
12 O 0.9911 0.3275 0.8920  2 Li 2.02-2.14, 1 Ti 2.03, 2 Fe 2.03-2.10
13 O 0.5171 0.1822 0.3932  3 Fe 2.02-2.09, 2 Li 2.06-2.12
14 O 0.1822 0.5171 0.3932  3 Fe 2.02-2.09, 2 Li 2.06-2.12
15 O 0.8178 0.4829 0.6068  3 Fe 2.02-2.09, 2 Li 2.06-2.12
16 O 0.1849 0.1849 0.5949  3 Fe 1.88-2.01
17 O 0.4829 0.8178 0.6068  3 Fe 2.02-2.09, 2 Li 2.06-2.12
18 O 0.0089 0.6725 0.1080  2 Li 2.02-2.14, 1 Ti 2.03, 2 Fe 2.03-2.10
19 O 0.3151 0.3151 0.0971  1 Ti 1.93, 2 Fe 2.00
20 O 0.3275 0.9911 0.8920  2 Li 2.02-2.14, 1 Ti 2.03, 2 Fe 2.03-2.10
21 O 0.6849 0.6849 0.9029  1 Ti 1.93, 2 Fe 2.00
22 O 0.8151 0.8151 0.4051  3 Fe 1.88-2.01

***

4.
Entry from the Materials Project database: a geometry-optimized Li2TiFe3O8 structure (GGA+U).

## Properties
volume	608	Å³ per cell
E (MP2020)	-425.70	eV for the cell shown
total moment	13.000	μB per formula unit

Cell lengths 8.3979, 8.4073, 8.6124 Å; angles 90.06, 90.01, 90.15 degrees
Last column: nearest neighbours and their distance in Å.
Atoms (fractional coordinates):
1 Li 0.9993 0.0022 0.9994  4 O 1.99-2.02
2 Li 0.7479 0.7473 0.2511  4 O 2.00-2.03
3 Li 0.2501 0.7504 0.7506  4 O 1.99-2.05
4 Li 0.5019 0.5010 0.9992  4 O 1.99-2.06
5 Li 0.9962 0.5012 0.5000  4 O 1.98-2.02
6 Li 0.2514 0.2471 0.2497  4 O 1.98-2.03
7 Li 0.7525 0.2492 0.7505  4 O 2.00-2.03
8 Li 0.4976 0.9994 0.4983  4 O 1.99-2.05
9 Ti 0.6246 0.8759 0.8734  6 O 1.98-2.01
10 Ti 0.1276 0.6277 0.1332  6 O 1.92-2.10
11 Ti 0.3741 0.3811 0.6186  6 O 1.92-2.10
12 Ti 0.8775 0.1211 0.3707  6 O 1.94-2.04
13 Fe 0.3767 0.8747 0.1234  6 O 2.02-2.07
14 Fe 0.1279 0.8768 0.3765  6 O 2.00-2.12
15 Fe 0.8742 0.8741 0.6264  6 O 2.00-2.09
16 Fe 0.3783 0.6261 0.3735  6 O 1.99-2.08
17 Fe 0.6263 0.6253 0.6260  6 O 2.02-2.07
18 Fe 0.8747 0.6257 0.8733  6 O 2.03-2.08
19 Fe 0.6286 0.3731 0.3776  6 O 1.99-2.10
20 Fe 0.8774 0.3762 0.1282  6 O 1.93-2.10
21 Fe 0.1234 0.3754 0.8761  6 O 1.90-2.12
22 Fe 0.6239 0.1233 0.1229  6 O 2.00-2.09
23 Fe 0.3731 0.1259 0.8778  6 O 2.03-2.08
24 Fe 0.1244 0.1287 0.6227  6 O 1.95-2.10
25 O 0.6180 0.8838 0.1064  1 Ti 2.01, 1 Li 2.02, 2 Fe 2.02-2.03
26 O 0.3888 0.8850 0.8852  1 Ti 1.98, 1 Li 1.99, 2 Fe 2.03-2.06
27 O 0.1152 0.8964 0.6152  3 Fe 1.96-2.06, 1 Li 2.04
28 O 0.1319 0.8560 0.1314  1 Ti 1.92, 1 Li 2.01, 2 Fe 2.06-2.12
29 O 0.8849 0.8908 0.3846  1 Ti 1.94, 1 Li 2.02, 2 Fe 2.05-2.09
30 O 0.3650 0.8620 0.3604  3 Fe 1.99-2.05, 1 Li 1.99
31 O 0.6343 0.8673 0.6415  1 Ti 2.00, 2 Fe 2.02-2.04, 1 Li 2.02
32 O 0.8608 0.8672 0.8650  1 Ti 1.99, 1 Li 1.99, 2 Fe 2.03-2.06
33 O 0.3581 0.6292 0.1351  1 Ti 1.94, 1 Li 2.00, 2 Fe 2.06-2.07
34 O 0.1334 0.6344 0.3587  1 Ti 1.94, 1 Li 2.02, 2 Fe 2.04-2.06
35 O 0.8661 0.6371 0.6384  1 Li 1.98, 3 Fe 2.00-2.03
36 O 0.3804 0.6090 0.6142  1 Ti 1.92, 1 Li 2.00, 2 Fe 2.07-2.08
37 O 0.6335 0.6403 0.8642  1 Ti 1.98, 1 Li 1.99, 2 Fe 2.03-2.06
38 O 0.6148 0.6093 0.3888  3 Fe 1.99-2.05, 1 Li 2.00
39 O 0.8879 0.6088 0.1142  2 Fe 1.96-2.08, 1 Ti 2.02, 1 Li 2.03
40 O 0.1177 0.6032 0.8908  2 Fe 1.92-2.06, 1 Li 2.05, 1 Ti 2.10
41 O 0.3858 0.3825 0.3921  1 Ti 1.95, 1 Li 2.02, 2 Fe 2.04-2.06
42 O 0.6056 0.3814 0.6202  1 Ti 1.94, 1 Li 2.01, 2 Fe 2.06-2.10
43 O 0.8973 0.3837 0.8857  3 Fe 1.90-2.10, 1 Li 2.03
44 O 0.8652 0.3591 0.3682  1 Li 1.98, 2 Fe 1.99-2.07, 1 Ti 2.00
45 O 0.1067 0.3877 0.1206  2 Fe 1.93-2.11, 1 Ti 2.03, 1 Li 2.03
46 O 0.6474 0.3644 0.1345  3 Fe 1.93-2.10, 1 Li 2.04
47 O 0.3518 0.3685 0.8610  2 Fe 1.92-2.05, 1 Li 2.06, 1 Ti 2.10
48 O 0.1371 0.3601 0.6307  2 Fe 1.95-2.12, 1 Ti 2.00, 1 Li 2.02
49 O 0.6409 0.1353 0.3643  1 Ti 1.99, 2 Fe 2.01-2.09, 1 Li 2.02
50 O 0.8693 0.1398 0.1413  1 Ti 1.98, 2 Fe 1.99-2.07, 1 Li 2.01
51 O 0.1310 0.1496 0.8652  3 Fe 1.90-2.10, 1 Li 2.02
52 O 0.6157 0.1116 0.8846  1 Ti 1.98, 1 Li 2.00, 2 Fe 2.04-2.06
53 O 0.3557 0.1388 0.6367  2 Fe 1.95-2.08, 1 Ti 2.05, 1 Li 2.05
54 O 0.3866 0.1151 0.1124  1 Li 1.98, 3 Fe 2.00-2.03
55 O 0.1109 0.1154 0.3818  1 Ti 1.96, 1 Li 1.98, 2 Fe 2.01-2.08
56 O 0.8921 0.1183 0.6076  2 Fe 1.96-2.06, 1 Li 2.03, 1 Ti 2.04